[1]
DFT (PBE) results for a geometry-optimized LuTe3 structure.

Structure (POSCAR):
```
LuTe3
1.0
1.357 9.827 8.401
-5.501 -9.165 -7.397
0.336 -2.827 3.253
Te Lu
6 2
Cartesian
-0.568 3.555 4.585
1.092 6.272 9.648
-2.506 -1.812 0.121
-3.239 -5.720 -0.328
-1.301 -0.354 4.136
-4.899 -8.438 -5.392
0.274 5.886 6.524
-4.081 -8.052 -2.267
```

**Electronic total energy**: -4.317 eV per atom
**SG**: Cmcm

[2]
DFT (PBE) results for a geometry-optimized Lu8Te structure.

Structure (POSCAR):
```
Lu8Te
1.0
4.517 -7.824 0.000
4.517 7.824 0.000
0.000 0.000 3.693
Lu Te
8 1
Cartesian
2.772 4.801 1.846
1.255 2.174 0.000
4.517 -2.608 0.000
2.772 -4.801 1.846
3.491 0.000 1.846
1.255 -2.174 0.000
6.524 0.000 0.000
4.517 2.608 0.000
0.000 0.000 1.846
```

**Electronic total energy**: -4.648 eV per atom
**SG**: P-62m